# 1
{"formula": "K2Cu5H8Cl8O6", "functional": "PBE", "state": "optimized geometry", "lattice_angstrom": [[11.591, 0.000, 0.000], [0.000, 6.704, 0.000], [-0.160, 0.000, 11.901]], "species": ["K", "K", "K", "K", "Cu", "Cu", "Cu", "Cu", "Cu", "Cu", "Cu", "Cu", "Cu", "Cu", "H", "H", "H", "H", "H", "H", "H", "H", "H", "H", "H", "H", "H", "H", "H", "H", "Cl", "Cl", "Cl", "Cl", "Cl", "Cl", "Cl", "Cl", "Cl", "Cl", "Cl", "Cl", "Cl", "Cl", "Cl", "Cl", "O", "O", "O", "O", "O", "O", "O", "O", "O", "O", "O", "O"], "fractional_positions": [[0.085, 0.091, 0.324], [0.085, 0.409, 0.824], [0.915, 0.591, 0.176], [0.915, 0.909, 0.676], [0.280, 0.506, 0.195], [0.280, 0.994, 0.695], [0.487, 0.660, 0.737], [0.487, 0.840, 0.237], [0.500, 0.000, 0.500], [0.500, 0.500, 0.000], [0.513, 0.160, 0.763], [0.513, 0.340, 0.263], [0.720, 0.006, 0.305], [0.720, 0.494, 0.805], [0.037, 0.007, 0.089], [0.037, 0.493, 0.589], [0.122, 0.640, 0.535], [0.122, 0.860, 0.035], [0.381, 0.236, 0.091], [0.381, 0.264, 0.591], [0.386, 0.603, 0.368], [0.386, 0.897, 0.868], [0.614, 0.103, 0.132], [0.614, 0.397, 0.632], [0.619, 0.736, 0.409], [0.619, 0.764, 0.909], [0.878, 0.140, 0.965], [0.878, 0.360, 0.465], [0.963, 0.507, 0.411], [0.963, 0.993, 0.911], [0.146, 0.138, 0.589], [0.146, 0.362, 0.089], [0.161, 0.613, 0.330], [0.161, 0.887, 0.830], [0.362, 0.090, 0.366], [0.362, 0.410, 0.866], [0.375, 0.648, 0.580], [0.375, 0.852, 0.080], [0.625, 0.148, 0.920], [0.625, 0.352, 0.420], [0.638, 0.590, 0.134], [0.638, 0.910, 0.634], [0.839, 0.113, 0.170], [0.839, 0.387, 0.670], [0.854, 0.638, 0.911], [0.854, 0.862, 0.411], [0.069, 0.628, 0.597], [0.069, 0.872, 0.097], [0.412, 0.139, 0.621], [0.412, 0.361, 0.121], [0.413, 0.586, 0.291], [0.413, 0.914, 0.791], [0.587, 0.086, 0.209], [0.587, 0.414, 0.709], [0.588, 0.639, 0.879], [0.588, 0.861, 0.379], [0.931, 0.128, 0.903], [0.931, 0.372, 0.403]], "energy_corrected_mp2020_ev_per_atom": -4.3013, "space_group": "P2_1/c", "magnetic_moment_mub_per_atom": 0.17}

---

# 2
{"formula": "K2CuH4Cl4O2", "functional": "PBE", "state": "optimized geometry", "lattice_angstrom": [[7.474, 0.000, 0.000], [0.000, 7.474, 0.000], [0.000, 0.000, 7.911]], "species": ["K", "K", "K", "K", "Cu", "Cu", "H", "H", "H", "H", "H", "H", "H", "H", "Cl", "Cl", "Cl", "Cl", "Cl", "Cl", "Cl", "Cl", "O", "O", "O", "O"], "fractional_positions": [[0.000, 0.500, 0.250], [0.000, 0.500, 0.750], [0.500, 0.000, 0.250], [0.500, 0.000, 0.750], [0.000, 0.000, 0.000], [0.500, 0.500, 0.500], [0.076, 0.076, 0.322], [0.076, 0.076, 0.678], [0.424, 0.576, 0.178], [0.424, 0.576, 0.822], [0.576, 0.424, 0.178], [0.576, 0.424, 0.822], [0.924, 0.924, 0.322], [0.924, 0.924, 0.678], [0.219, 0.219, 0.000], [0.220, 0.220, 0.500], [0.280, 0.720, 0.000], [0.281, 0.719, 0.500], [0.719, 0.281, 0.500], [0.720, 0.280, 0.000], [0.780, 0.780, 0.500], [0.781, 0.781, 0.000], [0.000, 0.000, 0.248], [0.000, 0.000, 0.752], [0.500, 0.500, 0.252], [0.500, 0.500, 0.748]], "energy_corrected_mp2020_ev_per_atom": -4.1369, "space_group": "P4_2/mnm", "magnetic_moment_mub_per_atom": 0.08}

---

# 3
{"formula": "CuH3NCl", "functional": "PBE", "state": "optimized geometry", "lattice_angstrom": [[-4.178, 4.178, 4.178], [4.178, -4.178, 4.178], [4.178, 4.178, -4.178]], "species": ["Cu", "Cu", "Cu", "Cu", "H", "H", "H", "H", "H", "H", "H", "H", "H", "H", "H", "H", "N", "N", "N", "N", "Cl", "Cl", "Cl", "Cl"], "fractional_positions": [[0.000, 0.737, 0.500], [0.500, 0.000, 0.737], [0.737, 0.500, 0.000], [0.763, 0.763, 0.763], [0.008, 0.472, 0.644], [0.028, 0.036, 0.172], [0.036, 0.172, 0.028], [0.136, 0.464, 0.492], [0.172, 0.028, 0.036], [0.328, 0.364, 0.856], [0.364, 0.856, 0.328], [0.464, 0.492, 0.136], [0.472, 0.644, 0.008], [0.492, 0.136, 0.464], [0.644, 0.008, 0.472], [0.856, 0.328, 0.364], [0.000, 0.474, 0.500], [0.026, 0.026, 0.026], [0.474, 0.500, 0.000], [0.500, 0.000, 0.474], [0.000, 0.030, 0.500], [0.030, 0.500, 0.000], [0.470, 0.470, 0.470], [0.500, 0.000, 0.030]], "energy_corrected_mp2020_ev_per_atom": -4.6339, "space_group": "I2_13", "magnetic_moment_mub_per_atom": 0.00}

---

# 4
{"formula": "CuH6Se2NClO6", "functional": "PBE", "state": "optimized geometry", "lattice_angstrom": [[9.065, 0.000, 0.000], [0.000, 12.277, 0.000], [0.000, 0.000, 7.425]], "species": ["Cu", "Cu", "Cu", "Cu", "H", "H", "H", "H", "H", "H", "H", "H", "H", "H", "H", "H", "H", "H", "H", "H", "H", "H", "H", "H", "H", "H", "H", "H", "Se", "Se", "Se", "Se", "Se", "Se", "Se", "Se", "N", "N", "N", "N", "Cl", "Cl", "Cl", "Cl", "O", "O", "O", "O", "O", "O", "O", "O", "O", "O", "O", "O", "O", "O", "O", "O", "O", "O", "O", "O", "O", "O", "O", "O"], "fractional_positions": [[0.000, 0.000, 0.000], [0.000, 0.500, 0.000], [0.500, 0.000, 0.500], [0.500, 0.500, 0.500], [0.054, 0.075, 0.389], [0.054, 0.425, 0.389], [0.072, 0.750, 0.678], [0.219, 0.750, 0.812], [0.227, 0.681, 0.620], [0.227, 0.819, 0.620], [0.273, 0.181, 0.120], [0.273, 0.319, 0.120], [0.281, 0.250, 0.312], [0.428, 0.250, 0.178], [0.446, 0.575, 0.889], [0.446, 0.925, 0.889], [0.554, 0.075, 0.111], [0.554, 0.425, 0.111], [0.572, 0.750, 0.822], [0.719, 0.750, 0.688], [0.727, 0.681, 0.880], [0.727, 0.819, 0.880], [0.773, 0.181, 0.380], [0.773, 0.319, 0.380], [0.781, 0.250, 0.188], [0.928, 0.250, 0.322], [0.946, 0.575, 0.611], [0.946, 0.925, 0.611], [0.192, 0.076, 0.657], [0.192, 0.424, 0.657], [0.308, 0.576, 0.157], [0.308, 0.924, 0.157], [0.692, 0.076, 0.843], [0.692, 0.424, 0.843], [0.808, 0.576, 0.343], [0.808, 0.924, 0.343], [0.186, 0.750, 0.680], [0.314, 0.250, 0.180], [0.686, 0.750, 0.820], [0.814, 0.250, 0.320], [0.020, 0.750, 0.049], [0.480, 0.250, 0.549], [0.520, 0.750, 0.451], [0.980, 0.250, 0.951], [0.043, 0.001, 0.738], [0.043, 0.499, 0.738], [0.107, 0.134, 0.462], [0.107, 0.366, 0.462], [0.209, 0.029, 0.059], [0.209, 0.471, 0.059], [0.291, 0.529, 0.559], [0.291, 0.971, 0.559], [0.393, 0.634, 0.962], [0.393, 0.866, 0.962], [0.457, 0.501, 0.238], [0.457, 0.999, 0.238], [0.543, 0.001, 0.762], [0.543, 0.499, 0.762], [0.607, 0.134, 0.038], [0.607, 0.366, 0.038], [0.709, 0.029, 0.441], [0.709, 0.471, 0.441], [0.791, 0.529, 0.941], [0.791, 0.971, 0.941], [0.893, 0.634, 0.538], [0.893, 0.866, 0.538], [0.957, 0.501, 0.262], [0.957, 0.999, 0.262]], "energy_corrected_mp2020_ev_per_atom": -5.1623, "space_group": "Pnma", "magnetic_moment_mub_per_atom": 0.06}

---

# 5
{"formula": "CuH4Cl2O2", "functional": "PBE", "state": "optimized geometry", "lattice_angstrom": [[8.061, 0.000, 0.000], [0.000, 3.897, 0.000], [0.000, 0.000, 7.459]], "species": ["Cu", "Cu", "H", "H", "H", "H", "H", "H", "H", "H", "Cl", "Cl", "Cl", "Cl", "O", "O", "O", "O"], "fractional_positions": [[0.000, 0.000, 0.000], [0.500, 0.000, 0.500], [0.188, 0.128, 0.414], [0.188, 0.872, 0.586], [0.312, 0.128, 0.086], [0.312, 0.872, 0.914], [0.688, 0.128, 0.086], [0.688, 0.872, 0.914], [0.812, 0.128, 0.414], [0.812, 0.872, 0.586], [0.000, 0.351, 0.246], [0.000, 0.649, 0.754], [0.500, 0.351, 0.254], [0.500, 0.649, 0.746], [0.241, 0.000, 0.000], [0.259, 0.000, 0.500], [0.741, 0.000, 0.500], [0.759, 0.000, 0.000]], "energy_corrected_mp2020_ev_per_atom": -4.4565, "space_group": "Pmna", "magnetic_moment_mub_per_atom": 0.11}

---

# 6
{"formula": "CuH4Pb2Cl2O4", "functional": "PBE", "state": "optimized geometry", "lattice_angstrom": [[5.966, 0.000, 0.000], [0.000, 5.966, 0.000], [0.000, 0.000, 5.562]], "species": ["Cu", "H", "H", "H", "H", "Pb", "Pb", "Cl", "Cl", "O", "O", "O", "O"], "fractional_positions": [[0.000, 0.000, 0.000], [0.293, 0.293, 0.095], [0.293, 0.707, 0.095], [0.707, 0.293, 0.095], [0.707, 0.707, 0.095], [0.000, 0.500, 0.704], [0.500, 0.000, 0.704], [0.000, 0.000, 0.465], [0.500, 0.500, 0.393], [0.234, 0.234, 0.943], [0.234, 0.766, 0.943], [0.766, 0.234, 0.943], [0.766, 0.766, 0.943]], "energy_corrected_mp2020_ev_per_atom": -4.9695, "space_group": "P4mm", "piezo_max_c_m2": 0.2, "magnetic_moment_mub_per_atom": 0.08}

---

# 7
{"formula": "Rb2CuH4Cl4O2", "functional": "PBE", "state": "optimized geometry", "lattice_angstrom": [[7.794, 0.000, 0.000], [0.000, 7.794, 0.000], [0.000, 0.000, 8.085]], "species": ["Rb", "Rb", "Rb", "Rb", "Cu", "Cu", "H", "H", "H", "H", "H", "H", "H", "H", "Cl", "Cl", "Cl", "Cl", "Cl", "Cl", "Cl", "Cl", "O", "O", "O", "O"], "fractional_positions": [[0.000, 0.500, 0.250], [0.000, 0.500, 0.750], [0.500, 0.000, 0.250], [0.500, 0.000, 0.750], [0.000, 0.000, 0.000], [0.500, 0.500, 0.500], [0.073, 0.073, 0.317], [0.073, 0.073, 0.683], [0.427, 0.573, 0.183], [0.427, 0.573, 0.817], [0.573, 0.427, 0.183], [0.573, 0.427, 0.817], [0.927, 0.927, 0.317], [0.927, 0.927, 0.683], [0.206, 0.206, 0.000], [0.208, 0.208, 0.500], [0.292, 0.708, 0.000], [0.294, 0.706, 0.500], [0.706, 0.294, 0.500], [0.708, 0.292, 0.000], [0.792, 0.792, 0.500], [0.794, 0.794, 0.000], [0.000, 0.000, 0.244], [0.000, 0.000, 0.756], [0.500, 0.500, 0.256], [0.500, 0.500, 0.744]], "energy_corrected_mp2020_ev_per_atom": -4.1272, "space_group": "P4_2/mnm", "magnetic_moment_mub_per_atom": 0.08}

---

# 8
{"formula": "ZnCuH3ClO3", "functional": "PBE", "state": "optimized geometry", "lattice_angstrom": [[5.585, 0.000, 0.000], [0.000, 6.502, 0.000], [-0.170, 0.000, 6.014]], "species": ["Zn", "Zn", "Cu", "Cu", "H", "H", "H", "H", "H", "H", "Cl", "Cl", "O", "O", "O", "O", "O", "O"], "fractional_positions": [[0.007, 0.250, 0.474], [0.993, 0.750, 0.526], [0.500, 0.000, 0.500], [0.500, 0.500, 0.500], [0.189, 0.537, 0.195], [0.189, 0.963, 0.195], [0.392, 0.250, 0.802], [0.608, 0.750, 0.198], [0.811, 0.037, 0.805], [0.811, 0.463, 0.805], [0.291, 0.750, 0.844], [0.709, 0.250, 0.156], [0.180, 0.517, 0.356], [0.180, 0.983, 0.356], [0.364, 0.250, 0.640], [0.636, 0.750, 0.360], [0.820, 0.017, 0.644], [0.820, 0.483, 0.644]], "energy_corrected_mp2020_ev_per_atom": -4.7888, "space_group": "P2_1/m", "magnetic_moment_mub_per_atom": 0.11}

---

DFT formation energy, respectively: -1048.4 -1276.8 -556.9 -967.0 -982.8 -1232.2 -1287.1 -1207.7 meV per atom.